Record 1
# TbYHg2

A relaxed structure of TbYHg2 (PBE-GGA, the Materials Project database).

As for the total energy: -54.7 eV/cell.

The space group is Fm-3m (No. 225) and the conventional cell measures 7.4826, 7.4826 and 7.4826 Å, with angles of 90.00, 90.00 and 90.00 degrees. The inequivalent atoms are Tb at (0.0000, 0.0000, 0.0000), Y at (0.0000, 0.0000, 0.5000) and Hg at (0.2500, 0.2500, 0.2500).


Record 2
# HgTe

A relaxed structure of HgTe (PBE-GGA, the Materials Project database).

As for the total energy: -13.8 eV/cell. The value obtained for the total magnetization is 0.00 Bohr magnetons per cell.

The space group is Cmcm (No. 63) and the conventional cell measures 5.9850, 6.9339 and 5.7982 Å, with angles of 90.00, 90.00 and 90.00 degrees. The inequivalent atoms are Hg at (0.0000, 0.1570, 0.2500) and Te at (0.0000, 0.2848, 0.7500).


Record 3
# HgTe

A relaxed structure of HgTe (PBE-GGA, the Materials Project database).

As for the total energy: -11.0 eV/cell.

The space group is P3_221 (No. 154) and the conventional cell measures 4.7046, 4.7046 and 10.4105 Å, with angles of 90.00, 90.00 and 120.00 degrees. The inequivalent atoms are Hg at (0.0000, 0.6491, 0.3333) and Te at (0.0000, 0.5237, 0.8333).


Record 4
# HgTe

A relaxed structure of HgTe (PBE-GGA, the Materials Project database).

As for the total energy: -13.9 eV/cell. The value obtained for the total magnetization is 0.00 Bohr magnetons per cell.

The space group is Fm-3m (No. 225) and the conventional cell measures 6.1542, 6.1542 and 6.1542 Å, with angles of 90.00, 90.00 and 90.00 degrees. The inequivalent atoms are Hg at (0.0000, 0.0000, 0.0000) and Te at (0.0000, 0.0000, 0.5000).


Record 5
# HgTe

A relaxed structure of HgTe (PBE-GGA, the Materials Project database).

As for the total energy: -2.9 eV/cell. The value obtained for the total magnetization is 0.00 Bohr magnetons per cell.

The space group is Pm-3m (No. 221) and the conventional cell measures 3.8108, 3.8108 and 3.8108 Å, with angles of 90.00, 90.00 and 90.00 degrees. The inequivalent atoms are Hg at (0.0000, 0.0000, 0.0000) and Te at (0.5000, 0.5000, 0.5000).


Record 6
# HgTe

A relaxed structure of HgTe (PBE-GGA, the Materials Project database).

As for the total energy: -6.8 eV/cell. The value obtained for the total magnetization is 0.00 Bohr magnetons per cell.

The space group is I-4m2 (No. 119) and the conventional cell measures 6.0912, 6.0912 and 3.1188 Å, with angles of 90.00, 90.00 and 90.00 degrees. The inequivalent atoms are Hg at (0.0000, 0.0000, 0.0000) and Te at (0.0000, 0.5000, 0.2500).


Record 7
# HgTe

A relaxed structure of HgTe (PBE-GGA, the Materials Project database).

As for the total energy: -15.1 eV/cell.

The space group is F-43m (No. 216) and the conventional cell measures 6.6604, 6.6604 and 6.6604 Å, with angles of 90.00, 90.00 and 90.00 degrees. The inequivalent atoms are Hg at (0.0000, 0.0000, 0.0000) and Te at (0.2500, 0.2500, 0.2500).


Record 8
# HgTe

A relaxed structure of HgTe (PBE-GGA, the Materials Project database).

As for the total energy: -11.0 eV/cell. For the piezoelectric modulus e_max, the calculation gives 1.2 C/m2.

The space group is P3_121 (No. 152) and the conventional cell measures 4.7153, 4.7153 and 10.4137 Å, with angles of 90.00, 90.00 and 120.00 degrees. The inequivalent atoms are Hg at (0.0000, 0.3292, 0.1667) and Te at (0.0000, 0.4821, 0.6667).


Record 9
# ThHg

A relaxed structure of ThHg (PBE-GGA, the Materials Project database).

As for the total energy: -23.8 eV/cell. The value obtained for the total magnetization is 0.00 Bohr magnetons per cell.

The space group is R-3m (No. 166, hexagonal axes) and the conventional cell measures 3.5008, 3.5008 and 16.2079 Å, with angles of 90.00, 90.00 and 120.00 degrees. The inequivalent atoms are Th at (0.0000, 0.0000, 0.0000) and Hg at (0.0000, 0.0000, 0.5000).


Record 10
# Th3Hg

A relaxed structure of Th3Hg (PBE-GGA, the Materials Project database).

As for the total energy: -45.5 eV/cell.

The space group is I4/mmm (No. 139) and the conventional cell measures 4.8664, 4.8664 and 10.1271 Å, with angles of 90.00, 90.00 and 90.00 degrees. The inequivalent atoms are Th at (0.0000, 0.0000, 0.0000), Th at (0.0000, 0.5000, 0.2500) and Hg at (0.0000, 0.0000, 0.5000).


Record 11
# Ti3Hg

A relaxed structure of Ti3Hg (PBE-GGA, the Materials Project database).

The calculation puts the polymorph energy (0 for the lowest one) at 0.071 eV/atom. The value obtained for the total magnetization is 0.02 Bohr magnetons per cell.

The space group is Pm-3m (No. 221) and the conventional cell measures 4.1399, 4.1399 and 4.1399 Å, with angles of 90.00, 90.00 and 90.00 degrees. The inequivalent atoms are Ti at (0.0000, 0.0000, 0.5000) and Hg at (0.5000, 0.5000, 0.5000).


Record 12
# TiHg

A relaxed structure of TiHg (PBE-GGA, the Materials Project database).

As for the total energy: -8.2 eV/cell.

The space group is P4/mmm (No. 123) and the conventional cell measures 3.0451, 3.0451 and 4.1023 Å, with angles of 90.00, 90.00 and 90.00 degrees. The inequivalent atoms are Ti at (0.0000, 0.0000, 0.0000) and Hg at (0.5000, 0.5000, 0.5000).


Record 13
# Ti3Hg

A relaxed structure of Ti3Hg (PBE-GGA, the Materials Project database).

The calculation puts the polymorph energy (0 for the lowest one) at 0.000 eV/atom.

The space group is Pm-3n (No. 223) and the conventional cell measures 5.1981, 5.1981 and 5.1981 Å, with angles of 90.00, 90.00 and 90.00 degrees. The inequivalent atoms are Ti at (0.0000, 0.2500, 0.5000) and Hg at (0.0000, 0.0000, 0.0000).


Record 14
# TlHg

A relaxed structure of TlHg (PBE-GGA, the Materials Project database).

As for the total energy: -2.7 eV/cell.

The space group is Pm-3m (No. 221) and the conventional cell measures 3.8948, 3.8948 and 3.8948 Å, with angles of 90.00, 90.00 and 90.00 degrees. The inequivalent atoms are Tl at (0.0000, 0.0000, 0.0000) and Hg at (0.5000, 0.5000, 0.5000).


Record 15
# TlHg

A relaxed structure of TlHg (PBE-GGA, the Materials Project database).

As for the total energy: -7.9 eV/cell.

The space group is R-3m (No. 166, hexagonal axes) and the conventional cell measures 3.4544, 3.4544 and 17.3618 Å, with angles of 90.00, 90.00 and 120.00 degrees. The inequivalent atoms are Tl at (0.0000, 0.0000, 0.0000) and Hg at (0.0000, 0.0000, 0.5000).


Record 16
# Tm2TlHg

A relaxed structure of Tm2TlHg (PBE-GGA, the Materials Project database).

As for the total energy: -52.6 eV/cell.

The space group is Fm-3m (No. 225) and the conventional cell measures 7.4404, 7.4404 and 7.4404 Å, with angles of 90.00, 90.00 and 90.00 degrees. The inequivalent atoms are Tm at (0.2500, 0.2500, 0.2500), Tl at (0.0000, 0.0000, 0.0000) and Hg at (0.0000, 0.0000, 0.5000).


Record 17
# Y2TlHg

A relaxed structure of Y2TlHg (PBE-GGA, the Materials Project database).

As for the total energy: -69.6 eV/cell.

The space group is Fm-3m (No. 225) and the conventional cell measures 7.5375, 7.5375 and 7.5375 Å, with angles of 90.00, 90.00 and 90.00 degrees. The inequivalent atoms are Y at (0.2500, 0.2500, 0.2500), Tl at (0.0000, 0.0000, 0.0000) and Hg at (0.0000, 0.0000, 0.5000).


Record 18
# Tm3Hg

A relaxed structure of Tm3Hg (PBE-GGA, the Materials Project database).

As for the total energy: -14.3 eV/cell. The value obtained for the total magnetization is 0.72 Bohr magnetons per cell.

The space group is Pm-3m (No. 221) and the conventional cell measures 4.7431, 4.7431 and 4.7431 Å, with angles of 90.00, 90.00 and 90.00 degrees. The inequivalent atoms are Tm at (0.0000, 0.0000, 0.5000) and Hg at (0.5000, 0.5000, 0.5000).


Record 19
# Tm2ZnHg

A relaxed structure of Tm2ZnHg (PBE-GGA, the Materials Project database).

As for the total energy: -48.5 eV/cell.

The space group is Fm-3m (No. 225) and the conventional cell measures 7.2209, 7.2209 and 7.2209 Å, with angles of 90.00, 90.00 and 90.00 degrees. The inequivalent atoms are Tm at (0.2500, 0.2500, 0.2500), Zn at (0.0000, 0.0000, 0.0000) and Hg at (0.0000, 0.0000, 0.5000).


Record 20
# UHg2

A relaxed structure of UHg2 (PBE-GGA, the Materials Project database).

As for the total energy: -11.6 eV/cell. The value obtained for the total magnetization is 3.43 Bohr magnetons per cell.

The space group is P6/mmm (No. 191) and the conventional cell measures 5.1839, 5.1839 and 3.0327 Å, with angles of 90.00, 90.00 and 120.00 degrees. The inequivalent atoms are U at (0.0000, 0.0000, 0.0000) and Hg at (0.3333, 0.6667, 0.5000).